Compound: SmFe2SiC
Source: Materials Project
Functional: PBE-GGA
Structure: optimized geometry

- Crystal system: orthorhombic

abc: 3.848 10.477 6.760
angles: 90.00 90.00 90.00
Space group Cmcm (No. 63)
Unique sites:
Sm: 0.000 0.053 0.250 (multiplicity 4)
Fe: 0.000 0.335 0.064 (multiplicity 8)
Si: 0.000 0.228 0.750 (multiplicity 4)
C: 0.000 0.500 0.000 (multiplicity 4)

***

Compound: LiTa2CuO6
Source: Materials Project
Functional: PBE-GGA
Structure: optimized geometry

- M_tot: 0.00 μB/cell
- Maximum piezoelectric response: 2.96 C/m²
- Energy above the lowest structure with this stoichiometry: 0.07 kcal/mol of atoms
- Crystal system: trigonal

abc: 5.2461 5.2461 14.0548
angles: 90.00 90.00 120.00
Space group R32 (No. 155, hexagonal axes)
Unique sites:
Li: 0.0000 0.0000 0.0000 (multiplicity 3)
Ta: 0.0000 0.0000 0.2514 (multiplicity 6)
Cu: 0.0000 0.0000 0.5000 (multiplicity 3)
O: 0.0000 0.3871 0.5000 (multiplicity 9)
O: 0.0000 0.6195 0.0000 (multiplicity 9)

***

Compound: TmAgTe2
Source: Materials Project
Functional: PBE-GGA
Structure: optimized geometry

- Crystal system: tetragonal

abc: 7.096 7.096 4.654
angles: 90.00 90.00 90.00
Space group P-42_1m (No. 113)
Unique sites:
Tm: 0.000 0.500 0.199 (multiplicity 2)
Ag: 0.000 0.000 0.000 (multiplicity 2)
Te: 0.202 0.702 0.712 (multiplicity 4)

***

Compound: TbSb
Source: Materials Project
Functional: PBE-GGA
Structure: optimized geometry

- Crystal system: cubic

abc: 6.229 6.229 6.229
angles: 90.00 90.00 90.00
Space group Fm-3m (No. 225)
Unique sites:
Tb: 0.000 0.000 0.000 (multiplicity 4)
Sb: 0.000 0.000 0.500 (multiplicity 4)

***

Number 1: volume 13.63 Å³ per atom, formation enthalpy at 0 K -0.463 eV per atom. Number 2: volume 11.17 Å³ per atom, formation enthalpy at 0 K -2.767 eV per atom. Number 3: volume 29.30 Å³ per atom, formation enthalpy at 0 K -1.100 eV per atom. Number 4: volume 30.21 Å³ per atom, formation enthalpy at 0 K -1.237 eV per atom.